[1]
Tm3Sb4Au3 | PBE-GGA | relaxed Values from VASP.

Summary:
As for the space group: No. 220.

Quantum ESPRESSO input file:
```
&SYSTEM
  ibrav = 0, nat = 20, ntyp = 3
/
ATOMIC_SPECIES
Tm 168.93 Tm.upf
Sb 121.76 Sb.upf
Au 196.97 Au.upf
CELL_PARAMETERS angstrom
-4.943 4.943 4.943
4.943 -4.943 4.943
4.943 4.943 -4.943
ATOMIC_POSITIONS angstrom
Tm -2.471 3.707 4.943
Tm 2.471 1.236 4.943
Tm 3.707 4.943 -2.471
Tm 1.236 4.943 2.471
Tm 4.943 -2.471 3.707
Tm 4.943 2.471 1.236
Sb -0.887 0.887 5.830
Sb 0.887 5.830 -0.887
Sb 5.830 -0.887 0.887
Sb 4.056 4.056 4.056
Sb -1.584 3.358 1.584
Sb 1.584 -1.584 3.358
Sb 3.358 1.584 -1.584
Sb 1.584 1.584 1.584
Au 2.471 3.707 0.000
Au 7.414 1.236 0.000
Au 3.707 0.000 2.471
Au 1.236 0.000 7.414
Au 0.000 2.471 3.707
Au 0.000 7.414 1.236
```

[2]
ScAu4 | PBE-GGA | relaxed Values from VASP.

Summary:
As for the space group: No. 87.

Quantum ESPRESSO input file:
```
&SYSTEM
  ibrav = 0, nat = 5, ntyp = 2
/
ATOMIC_SPECIES
Sc 44.96 Sc.upf
Au 196.97 Au.upf
CELL_PARAMETERS angstrom
-3.709 0.528 -1.665
-2.954 3.317 2.586
-0.174 3.803 -3.453
ATOMIC_POSITIONS angstrom
Sc 0.000 0.000 0.000
Au -4.874 5.474 -2.548
Au -1.964 2.174 0.016
Au -2.914 3.255 -2.572
Au -3.924 4.393 0.039
```

[3]
Sc2Au | PBE-GGA | relaxed Values from VASP.

Summary:
As for the space group: No. 62.

Quantum ESPRESSO input file:
```
&SYSTEM
  ibrav = 0, nat = 12, ntyp = 2
/
ATOMIC_SPECIES
Sc 44.96 Sc.upf
Au 196.97 Au.upf
CELL_PARAMETERS angstrom
0.000 -4.681 0.000
-6.616 0.000 0.000
0.000 0.000 -8.392
ATOMIC_POSITIONS angstrom
Sc -5.604 -3.511 -7.755
Sc -1.011 -1.170 -0.637
Sc -4.319 -1.170 -3.559
Sc -2.296 -3.511 -4.833
Sc -6.498 -3.511 -2.655
Sc -0.118 -1.170 -5.738
Sc -3.426 -1.170 -6.851
Sc -3.190 -3.511 -1.541
Au -5.012 -3.511 -5.045
Au -1.604 -1.170 -3.348
Au -4.912 -1.170 -0.849
Au -1.704 -3.511 -7.544
```

[4]
Sc2SnAu2 | PBE-GGA | relaxed Values from VASP.

Summary:
For the energy above the most stable polymorph in this dataset, the calculation gives 0.0000 eV/atom. Its spin magnetization is 0.00 μB/f.u. As for the space group: No. 136.

Quantum ESPRESSO input file:
```
&SYSTEM
  ibrav = 0, nat = 20, ntyp = 3
/
ATOMIC_SPECIES
Sc 44.96 Sc.upf
Sn 118.71 Sn.upf
Au 196.97 Au.upf
CELL_PARAMETERS angstrom
7.684 0.000 0.000
0.000 7.684 0.000
0.000 0.000 7.067
ATOMIC_POSITIONS angstrom
Sc 1.160 1.160 0.000
Sc 6.524 6.524 0.000
Sc 5.002 2.682 3.533
Sc 2.682 5.002 3.533
Sc 5.255 2.429 0.000
Sc 2.429 5.255 0.000
Sc 6.271 6.271 3.533
Sc 1.413 1.413 3.533
Sn 3.842 0.000 1.767
Sn 3.842 0.000 5.300
Sn 0.000 3.842 1.767
Sn 0.000 3.842 5.300
Au 2.845 2.845 1.526
Au 4.839 4.839 5.541
Au 4.839 4.839 1.526
Au 6.687 0.997 5.059
Au 6.687 0.997 2.007
Au 2.845 2.845 5.541
Au 0.997 6.687 2.007
Au 0.997 6.687 5.059
```

[5]
Sc2SnAu2 | PBE-GGA | relaxed Values from VASP.

Summary:
For the energy above the most stable polymorph in this dataset, the calculation gives 0.0113 eV/atom. As for the space group: No. 127.

Quantum ESPRESSO input file:
```
&SYSTEM
  ibrav = 0, nat = 10, ntyp = 3
/
ATOMIC_SPECIES
Sc 44.96 Sc.upf
Sn 118.71 Sn.upf
Au 196.97 Au.upf
CELL_PARAMETERS angstrom
7.754 0.000 0.000
0.000 7.754 0.000
0.000 0.000 3.473
ATOMIC_POSITIONS angstrom
Sc 1.300 2.577 0.000
Sc 6.454 5.177 0.000
Sc 5.177 1.300 0.000
Sc 2.577 6.454 0.000
Sn 0.000 0.000 1.737
Sn 3.877 3.877 1.737
Au 2.877 1.000 1.737
Au 4.877 6.754 1.737
Au 6.754 2.877 1.737
Au 1.000 4.877 1.737
```

[6]
Sc2TcAu | PBE-GGA | relaxed Values from VASP.

Summary:
As for the space group: No. 225.

Quantum ESPRESSO input file:
```
&SYSTEM
  ibrav = 0, nat = 4, ntyp = 3
/
ATOMIC_SPECIES
Sc 44.96 Sc.upf
Tc 98.00 Tc.upf
Au 196.97 Au.upf
CELL_PARAMETERS angstrom
-2.237 -4.011 -0.893
-3.270 -0.161 -3.343
0.837 -2.309 -3.983
ATOMIC_POSITIONS angstrom
Sc -1.167 -1.620 -2.055
Sc -3.502 -4.861 -6.164
Tc 0.000 0.000 0.000
Au -2.335 -3.241 -4.110
```

[7]
ScZn2Au | PBE-GGA | relaxed Values from VASP.

Summary:
Its spin magnetization is 0.00 μB/f.u. As for the space group: No. 225.

Quantum ESPRESSO input file:
```
&SYSTEM
  ibrav = 0, nat = 4, ntyp = 3
/
ATOMIC_SPECIES
Sc 44.96 Sc.upf
Zn 65.41 Zn.upf
Au 196.97 Au.upf
CELL_PARAMETERS angstrom
0.000 3.220 3.220
3.220 0.000 3.220
3.220 3.220 0.000
ATOMIC_POSITIONS angstrom
Sc 0.000 0.000 0.000
Zn 1.610 1.610 1.610
Zn 4.830 4.830 4.830
Au 3.220 3.220 3.220
```

[8]
Si3Au10 | PBE-GGA | relaxed Values from VASP.

Summary:
Its spin magnetization is 0.00 μB/f.u. As for the space group: No. 217.

Quantum ESPRESSO input file:
```
&SYSTEM
  ibrav = 0, nat = 26, ntyp = 2
/
ATOMIC_SPECIES
Si 28.09 Si.upf
Au 196.97 Au.upf
CELL_PARAMETERS angstrom
-4.888 4.888 4.888
4.888 -4.888 4.888
4.888 4.888 -4.888
ATOMIC_POSITIONS angstrom
Si 0.000 0.000 6.818
Si 6.818 0.000 0.000
Si 0.000 6.818 0.000
Si 0.000 0.000 2.958
Si 2.958 0.000 0.000
Si 0.000 2.958 0.000
Au 1.434 4.484 1.434
Au 1.434 1.434 4.484
Au 4.484 1.434 1.434
Au 3.454 -0.404 3.454
Au -1.434 1.434 5.292
Au 5.292 1.434 -1.434
Au 1.434 5.292 -1.434
Au 1.434 -1.434 5.292
Au -0.404 3.454 3.454
Au -1.434 5.292 1.434
Au 3.454 3.454 -0.404
Au 5.292 -1.434 1.434
Au 3.387 3.387 3.387
Au 1.501 -1.501 1.501
Au -1.501 1.501 1.501
Au 1.501 1.501 -1.501
Au 1.576 1.576 1.576
Au 3.312 -3.312 3.312
Au -3.312 3.312 3.312
Au 3.312 3.312 -3.312
```

Number 1: raw total energy -4.74 eV/atom. Number 2: raw total energy -4.43 eV/atom. Number 3: raw total energy -5.96 eV/atom. Number 4: raw total energy -5.41 eV/atom. Number 5: raw total energy -5.40 eV/atom. Number 6: raw total energy -7.08 eV/atom. Number 7: raw total energy -3.49 eV/atom. Number 8: raw total energy -3.72 eV/atom.